one:
Ca2I4O13: relaxed, PBE.

Geometry as CIF:
```
data_Ca2I4O13
_symmetry_space_group_name_H-M 'C 1 2/c 1'
_symmetry_Int_Tables_number 15
_symmetry_space_group_name_Hall '-C 2yc'
_cell_length_a 12.845
_cell_length_b 6.559
_cell_length_c 16.422
_cell_angle_alpha 90.00
_cell_angle_beta 98.64
_cell_angle_gamma 90.00
loop_
_atom_site_label
_atom_site_type_symbol
_atom_site_fract_x
_atom_site_fract_y
_atom_site_fract_z
Ca1 Ca 0.106 0.231 0.376
I1 I 0.082 0.246 0.609
I2 I 0.216 0.298 0.855
O1 O 0.000 0.356 0.250
O2 O 0.041 0.223 0.499
O3 O 0.101 0.023 0.141
O4 O 0.107 0.115 0.840
O5 O 0.165 0.486 0.773
O6 O 0.178 0.441 0.941
O7 O 0.217 0.332 0.612
```


two:
Ca2I4O13: relaxed, PBE.

Geometry as CIF:
```
data_Ca2I4O13
_symmetry_space_group_name_H-M 'C 1 2/c 1'
_symmetry_Int_Tables_number 15
_symmetry_space_group_name_Hall '-C 2yc'
_cell_length_a 13.076
_cell_length_b 6.425
_cell_length_c 16.344
_cell_angle_alpha 90.00
_cell_angle_beta 92.44
_cell_angle_gamma 90.00
loop_
_atom_site_label
_atom_site_type_symbol
_atom_site_fract_x
_atom_site_fract_y
_atom_site_fract_z
Ca1 Ca 0.122 0.220 0.382
I1 I 0.076 0.262 0.614
I2 I 0.224 0.311 0.855
O1 O 0.000 0.494 0.250
O2 O 0.048 0.222 0.505
O3 O 0.097 0.006 0.148
O4 O 0.113 0.131 0.846
O5 O 0.178 0.483 0.283
O6 O 0.188 0.451 0.946
O7 O 0.207 0.364 0.613
```


three:
Ca2I4O13: relaxed, PBE.

Geometry as CIF:
```
data_Ca2I4O13
_symmetry_space_group_name_H-M 'C 1 2/c 1'
_symmetry_Int_Tables_number 15
_symmetry_space_group_name_Hall '-C 2yc'
_cell_length_a 12.954
_cell_length_b 6.542
_cell_length_c 16.916
_cell_angle_alpha 90.00
_cell_angle_beta 104.57
_cell_angle_gamma 90.00
loop_
_atom_site_label
_atom_site_type_symbol
_atom_site_fract_x
_atom_site_fract_y
_atom_site_fract_z
Ca1 Ca 0.103 0.231 0.380
I1 I 0.088 0.257 0.605
I2 I 0.206 0.288 0.852
O1 O 0.000 0.352 0.250
O2 O 0.041 0.230 0.494
O3 O 0.093 0.114 0.845
O4 O 0.119 0.007 0.139
O5 O 0.149 0.457 0.764
O6 O 0.181 0.449 0.933
O7 O 0.222 0.362 0.612
```


Short version: three is the most stable of them.


one:
Ca2PI: relaxed, PBE.

Geometry as CIF:
```
data_Ca2PI
_symmetry_space_group_name_H-M 'R -3 m'
_symmetry_Int_Tables_number 166
_symmetry_space_group_name_Hall '-R 3 2"'
_cell_length_a 4.3104
_cell_length_b 4.3104
_cell_length_c 22.4638
_cell_angle_alpha 90.00
_cell_angle_beta 90.00
_cell_angle_gamma 120.00
loop_
_atom_site_label
_atom_site_type_symbol
_atom_site_fract_x
_atom_site_fract_y
_atom_site_fract_z
Ca1 Ca 0.0000 0.0000 0.2293
P1 P 0.0000 0.0000 0.5000
I1 I 0.0000 0.0000 0.0000
```


two:
Ca2PI: relaxed, PBE.

Geometry as CIF:
```
data_Ca2PI
_symmetry_space_group_name_H-M 'P 1'
_symmetry_Int_Tables_number 1
_symmetry_space_group_name_Hall 'P 1'
_cell_length_a 4.208
_cell_length_b 4.259
_cell_length_c 7.952
_cell_angle_alpha 85.60
_cell_angle_beta 87.89
_cell_angle_gamma 60.44
loop_
_atom_site_label
_atom_site_type_symbol
_atom_site_fract_x
_atom_site_fract_y
_atom_site_fract_z
Ca1 Ca 0.000 0.000 0.000
Ca2 Ca 0.340 0.374 0.633
P1 P 0.668 0.689 0.815
I1 I 0.738 0.599 0.313
```

Computed properties:
* piezoelectric modulus e_max: 0.72 C/m2


Short version: one is the most stable of them.


one:
Ca3Pb3I14: relaxed, PBE.

Geometry as CIF:
```
data_Ca3Pb3I14
_symmetry_space_group_name_H-M 'P 1 21/m 1'
_symmetry_Int_Tables_number 11
_symmetry_space_group_name_Hall '-P 2yb'
_cell_length_a 17.034
_cell_length_b 4.510
_cell_length_c 24.308
_cell_angle_alpha 90.00
_cell_angle_beta 103.91
_cell_angle_gamma 90.00
loop_
_atom_site_label
_atom_site_type_symbol
_atom_site_fract_x
_atom_site_fract_y
_atom_site_fract_z
Ca1 Ca 0.056 0.250 0.313
Ca2 Ca 0.296 0.750 0.042
Ca3 Ca 0.401 0.250 0.634
Pb1 Pb 0.126 0.250 0.864
Pb2 Pb 0.243 0.750 0.478
Pb3 Pb 0.466 0.250 0.207
I1 I 0.047 0.250 0.648
I2 I 0.054 0.750 0.209
I3 I 0.096 0.750 0.950
I4 I 0.108 0.250 0.464
I5 I 0.155 0.750 0.779
I6 I 0.188 0.250 0.077
I7 I 0.204 0.750 0.342
I8 I 0.268 0.750 0.615
I9 I 0.304 0.250 0.940
I10 I 0.330 0.750 0.188
I11 I 0.390 0.250 0.502
I12 I 0.392 0.250 0.763
I13 I 0.446 0.250 0.074
I14 I 0.465 0.250 0.341
```


two:
Ca3Pb3I14: relaxed, PBE.

Geometry as CIF:
```
data_Ca3Pb3I14
_symmetry_space_group_name_H-M 'P 1 21/m 1'
_symmetry_Int_Tables_number 11
_symmetry_space_group_name_Hall '-P 2yb'
_cell_length_a 17.067
_cell_length_b 4.455
_cell_length_c 24.508
_cell_angle_alpha 90.00
_cell_angle_beta 104.13
_cell_angle_gamma 90.00
loop_
_atom_site_label
_atom_site_type_symbol
_atom_site_fract_x
_atom_site_fract_y
_atom_site_fract_z
Ca1 Ca 0.036 0.250 0.290
Ca2 Ca 0.261 0.750 0.020
Ca3 Ca 0.377 0.250 0.636
Pb1 Pb 0.101 0.250 0.866
Pb2 Pb 0.191 0.750 0.463
Pb3 Pb 0.440 0.250 0.198
I1 I 0.043 0.250 0.162
I2 I 0.044 0.250 0.418
I3 I 0.099 0.250 0.733
I4 I 0.123 0.250 0.002
I5 I 0.170 0.750 0.306
I6 I 0.197 0.250 0.566
I7 I 0.244 0.750 0.887
I8 I 0.290 0.750 0.151
I9 I 0.309 0.250 0.424
I10 I 0.344 0.750 0.718
I11 I 0.393 0.250 0.025
I12 I 0.420 0.750 0.555
I13 I 0.440 0.750 0.300
I14 I 0.460 0.250 0.856
```


Short version: one is the most stable of them.


one:
Ca4IrN4: relaxed, PBE.

Geometry as CIF:
```
data_Ca4IrN4
_symmetry_space_group_name_H-M 'P -1'
_symmetry_Int_Tables_number 2
_symmetry_space_group_name_Hall '-P 1'
_cell_length_a 5.990
_cell_length_b 6.153
_cell_length_c 8.383
_cell_angle_alpha 88.79
_cell_angle_beta 72.28
_cell_angle_gamma 70.34
loop_
_atom_site_label
_atom_site_type_symbol
_atom_site_fract_x
_atom_site_fract_y
_atom_site_fract_z
Ca1 Ca 0.050 0.234 0.430
Ca2 Ca 0.203 0.223 0.013
Ca3 Ca 0.257 0.718 0.150
Ca4 Ca 0.425 0.288 0.620
Ir1 Ir 0.387 0.790 0.760
N1 N 0.159 0.034 0.682
N2 N 0.258 0.553 0.880
N3 N 0.295 0.482 0.375
N4 N 0.410 0.009 0.210
```


two:
Ca4IrN4: relaxed, PBE.

Geometry as CIF:
```
data_Ca4IrN4
_symmetry_space_group_name_H-M 'P n m a'
_symmetry_Int_Tables_number 62
_symmetry_space_group_name_Hall '-P 2ac 2n'
_cell_length_a 11.206
_cell_length_b 3.483
_cell_length_c 15.830
_cell_angle_alpha 90.00
_cell_angle_beta 90.00
_cell_angle_gamma 90.00
loop_
_atom_site_label
_atom_site_type_symbol
_atom_site_fract_x
_atom_site_fract_y
_atom_site_fract_z
Ca1 Ca 0.039 0.250 0.103
Ca2 Ca 0.082 0.750 0.343
Ca3 Ca 0.171 0.250 0.526
Ca4 Ca 0.204 0.750 0.736
Ir1 Ir 0.179 0.250 0.902
N1 N 0.003 0.250 0.433
N2 N 0.074 0.750 0.627
N3 N 0.136 0.750 0.207
N4 N 0.197 0.750 0.137
```


Short version: one is the most stable of them.


one:
K2CaNd4Nb2O12: relaxed, PBE.

Geometry as CIF:
```
data_K2CaNd4Nb2O12
_symmetry_space_group_name_H-M 'C 1 m 1'
_symmetry_Int_Tables_number 8
_symmetry_space_group_name_Hall 'C -2y'
_cell_length_a 13.045
_cell_length_b 5.866
_cell_length_c 9.147
_cell_angle_alpha 90.00
_cell_angle_beta 107.65
_cell_angle_gamma 90.00
loop_
_atom_site_label
_atom_site_type_symbol
_atom_site_fract_x
_atom_site_fract_y
_atom_site_fract_z
K1 K 0.000 0.000 0.000
K2 K 0.230 0.000 0.980
Ca1 Ca 0.264 0.500 0.469
Nd1 Nd 0.010 0.000 0.565
Nd2 Nd 0.015 0.500 0.284
Nd3 Nd 0.181 0.500 0.726
Nd4 Nd 0.244 0.000 0.403
Nb1 Nb 0.274 0.500 0.174
Nb2 Nb 0.439 0.000 0.779
O1 O 0.059 0.267 0.781
O2 O 0.120 0.262 0.493
O3 O 0.162 0.277 0.212
O4 O 0.294 0.500 0.980
O5 O 0.347 0.240 0.645
O6 O 0.379 0.271 0.332
O7 O 0.432 0.000 0.981
```


two:
K2CaNd4Nb2O12: relaxed, PBE.

Geometry as CIF:
```
data_K2CaNd4Nb2O12
_symmetry_space_group_name_H-M 'C 1 m 1'
_symmetry_Int_Tables_number 8
_symmetry_space_group_name_Hall 'C -2y'
_cell_length_a 12.546
_cell_length_b 5.892
_cell_length_c 9.180
_cell_angle_alpha 90.00
_cell_angle_beta 105.06
_cell_angle_gamma 90.00
loop_
_atom_site_label
_atom_site_type_symbol
_atom_site_fract_x
_atom_site_fract_y
_atom_site_fract_z
K1 K 0.000 0.000 0.000
K2 K 0.237 0.500 0.965
Ca1 Ca 0.307 0.500 0.296
Nd1 Nd 0.047 0.000 0.469
Nd2 Nd 0.257 0.500 0.607
Nd3 Nd 0.293 0.000 0.323
Nd4 Nd 0.462 0.000 0.696
Nb1 Nb 0.032 0.500 0.218
Nb2 Nb 0.228 0.000 0.805
O1 O 0.049 0.500 0.024
O2 O 0.119 0.243 0.695
O3 O 0.153 0.276 0.338
O4 O 0.210 0.000 0.003
O5 O 0.341 0.236 0.802
O6 O 0.385 0.266 0.504
O7 O 0.424 0.243 0.225
```


Short version: two is the most stable of them.


one:
K2CaNd4Nb2O12: relaxed, PBE.

Geometry as CIF:
```
data_K2CaNd4Nb2O12
_symmetry_space_group_name_H-M 'P 1'
_symmetry_Int_Tables_number 1
_symmetry_space_group_name_Hall 'P 1'
_cell_length_a 5.898
_cell_length_b 7.027
_cell_length_c 8.935
_cell_angle_alpha 75.83
_cell_angle_beta 86.30
_cell_angle_gamma 67.18
loop_
_atom_site_label
_atom_site_type_symbol
_atom_site_fract_x
_atom_site_fract_y
_atom_site_fract_z
K1 K 0.000 0.000 0.000
K2 K 0.129 0.574 0.835
Ca1 Ca 0.436 0.378 0.104
Nd1 Nd 0.235 0.515 0.430
Nd2 Nd 0.579 0.874 0.291
Nd3 Nd 0.670 0.586 0.684
Nd4 Nd 0.971 0.054 0.530
Nb1 Nb 0.436 0.089 0.772
Nb2 Nb 0.876 0.412 0.191
O1 O 0.105 0.296 0.657
O2 O 0.201 0.223 0.300
O3 O 0.317 0.869 0.771
O4 O 0.351 0.772 0.490
O5 O 0.422 0.128 0.974
O6 O 0.491 0.616 0.208
O7 O 0.551 0.316 0.636
O8 O 0.751 0.434 0.967
O9 O 0.756 0.160 0.275
O10 O 0.767 0.900 0.751
O11 O 0.868 0.753 0.494
O12 O 0.965 0.651 0.182
```


two:
K2CaNd4Nb2O12: relaxed, PBE.

Geometry as CIF:
```
data_K2CaNd4Nb2O12
_symmetry_space_group_name_H-M 'C 1 2/m 1'
_symmetry_Int_Tables_number 12
_symmetry_space_group_name_Hall '-C 2y'
_cell_length_a 12.715
_cell_length_b 5.831
_cell_length_c 9.436
_cell_angle_alpha 90.00
_cell_angle_beta 102.66
_cell_angle_gamma 90.00
loop_
_atom_site_label
_atom_site_type_symbol
_atom_site_fract_x
_atom_site_fract_y
_atom_site_fract_z
K1 K 0.129 0.000 0.495
Ca1 Ca 0.000 0.500 0.500
Nd1 Nd 0.078 0.500 0.177
Nd2 Nd 0.122 0.000 0.909
Nb1 Nb 0.184 0.500 0.743
O1 O 0.000 0.246 0.000
O2 O 0.049 0.268 0.712
O3 O 0.180 0.500 0.535
O4 O 0.229 0.245 0.154
```


Short version: two is the most stable of them.